Record 1
A plane-wave DFT calculation with r2SCAN was carried out for CaCuSb after structural relaxation.

Summary:
Energy of formation from the pure elements in eV per atom: -0.78
Crystal system: hexagonal
Symmetry: P6_3/mmc (194)

Unit cell a=4.440 b=4.440 c=8.220 alpha=90.00 beta=90.00 gamma=120.00
Fractional coordinates of all 6 atoms:
Ca 0.000 0.000 0.000
Ca 0.000 0.000 0.500
Cu 0.333 0.667 0.250
Cu 0.667 0.333 0.750
Sb 0.333 0.667 0.750
Sb 0.667 0.333 0.250

=====

Record 2
A plane-wave DFT calculation with r2SCAN was carried out for Ag3SbS3 after structural relaxation.

Summary:
Energy of formation from the pure elements in eV per atom: -0.21
Excess energy over the best structure of this formula in the dataset in meV per atom: 0.0
Crystal system: monoclinic
Symmetry: P2_1/c (14)

Unit cell a=6.904 b=15.967 c=6.271 alpha=90.00 beta=116.26 gamma=90.00
Fractional coordinates of all 28 atoms:
Ag 0.022 0.243 0.309
Ag 0.022 0.257 0.809
Ag 0.092 0.599 0.531
Ag 0.092 0.901 0.031
Ag 0.430 0.190 0.210
Ag 0.430 0.310 0.710
Ag 0.570 0.690 0.290
Ag 0.570 0.810 0.790
Ag 0.908 0.099 0.969
Ag 0.908 0.401 0.469
Ag 0.978 0.743 0.191
Ag 0.978 0.757 0.691
Sb 0.304 0.051 0.676
Sb 0.304 0.449 0.176
Sb 0.696 0.551 0.824
Sb 0.696 0.949 0.324
S 0.034 0.636 0.945
S 0.034 0.864 0.445
S 0.279 0.056 0.268
S 0.279 0.444 0.768
S 0.448 0.667 0.629
S 0.448 0.833 0.129
S 0.552 0.167 0.871
S 0.552 0.333 0.371
S 0.721 0.556 0.232
S 0.721 0.944 0.732
S 0.966 0.136 0.555
S 0.966 0.364 0.055